Here is crystalline BaCu2S2 at its relaxed geometry from the Materials Project. Energies are from PBE.

Unit cell a=3.9194 b=3.9194 c=6.8971 alpha=106.51 beta=106.51 gamma=90.00
Closest atoms and distances in Å follow each position.
Fractional coordinates of all 5 atoms:
S  0.3604  0.3604  0.7209  4 Cu 2.41
S  0.6396  0.6396  0.2791  4 Cu 2.41
Cu  0.2500  0.7500  0.5000  4 S 2.41
Ba  0.0000  0.0000  0.0000  8 S 3.28
Cu  0.7500  0.2500  0.5000  4 S 2.41

Values from the calculation:
**Calculated volume**: 97.0 Å³/cell
**Total energy**: -4.5889 eV per atom



Here is crystalline BaCu2SnS4 at its relaxed geometry from the Materials Project. Energies are from PBE.

Unit cell a=6.4365 b=6.4365 c=15.8310 alpha=90.00 beta=90.00 gamma=120.00
Closest atoms and distances in Å follow each position.
Fractional coordinates of all 24 atoms:
S  0.5596  0.4991  0.8797  2 Cu 2.33-2.39, 1 Sn 2.45
S  0.6519  0.7652  0.6642  2 Cu 2.33-2.37, 1 Sn 2.46
Cu  0.3698  0.4338  0.7452  4 S 2.33-2.39
Sn  0.7050  0.0000  0.3333  4 S 2.45-2.46
Cu  0.6302  0.0641  0.5881  4 S 2.33-2.39
Ba  0.0000  0.5736  0.1667  8 S 3.23-3.34, 2 Cu 3.49
Ba  0.4264  0.4264  0.5000  8 S 3.23-3.34, 2 Cu 3.49
Sn  0.2950  0.2950  0.0000  4 S 2.45-2.46
Cu  0.0641  0.6302  0.4119  4 S 2.33-2.39
S  0.0604  0.5009  0.7869  2 Cu 2.33-2.39, 1 Sn 2.45
Cu  0.4338  0.3698  0.2548  4 S 2.33-2.39
S  0.1133  0.3481  0.3308  2 Cu 2.33-2.37, 1 Sn 2.46
S  0.7652  0.6519  0.3358  2 Cu 2.33-2.37, 1 Sn 2.46
Cu  0.5662  0.9359  0.0785  4 S 2.33-2.39
S  0.8867  0.2348  0.0025  2 Cu 2.33-2.37, 1 Sn 2.46
S  0.5009  0.0604  0.2131  2 Cu 2.33-2.39, 1 Sn 2.45
Ba  0.5736  0.0000  0.8333  8 S 3.23-3.34, 2 Cu 3.49
S  0.4404  0.9396  0.4536  2 Cu 2.33-2.39, 1 Sn 2.45
S  0.4991  0.5596  0.1203  2 Cu 2.33-2.39, 1 Sn 2.45
Sn  0.0000  0.7050  0.6667  4 S 2.45-2.46
S  0.9396  0.4404  0.5464  2 Cu 2.33-2.39, 1 Sn 2.45
S  0.3481  0.1133  0.6692  2 Cu 2.33-2.37, 1 Sn 2.46
S  0.2348  0.8867  0.9975  2 Cu 2.33-2.37, 1 Sn 2.46
Cu  0.9359  0.5662  0.9215  4 S 2.33-2.39

Values from the calculation:
**Calculated volume**: 568.0 Å³/cell
**M_tot**: 0.0 Bohr magnetons per cell
**Total energy**: -4.6360 eV per atom



Here is crystalline Ba2YCu3S7 at its relaxed geometry from the Materials Project. Energies are from PBE.

Unit cell a=4.4447 b=4.7213 c=13.8439 alpha=90.00 beta=90.00 gamma=90.00
Closest atoms and distances in Å follow each position.
Fractional coordinates of all 13 atoms:
Cu  0.0000  0.0000  0.6607  5 S 2.29-2.49
S  0.0000  0.5000  0.3708  2 Cu 2.40
Cu  0.0000  0.0000  0.3393  5 S 2.29-2.49
Ba  0.5000  0.5000  0.1879  10 S 3.27-3.55
Y  0.5000  0.5000  0.5000  8 S 2.85-2.89
S  0.0000  0.5000  0.0000  2 Cu 2.36
Ba  0.5000  0.5000  0.8121  10 S 3.27-3.55
S  0.0000  0.5000  0.6292  2 Cu 2.40
S  0.0000  0.0000  0.1597  1 Cu 2.21
S  0.5000  0.0000  0.6209  2 Cu 2.29
S  0.5000  0.0000  0.3791  2 Cu 2.29
S  0.0000  0.0000  0.8403  1 Cu 2.21
Cu  0.0000  0.0000  0.0000  4 S 2.21-2.36

Values from the calculation:
**Calculated volume**: 290.5 Å³/cell
**M_tot**: 0.3 Bohr magnetons per cell
**Total energy**: -5.0175 eV per atom



Here is crystalline BaCuSb at its relaxed geometry from the Materials Project. Energies are from PBE.

Unit cell a=4.6310 b=4.6310 c=9.5898 alpha=90.00 beta=90.00 gamma=120.00
Closest atoms and distances in Å follow each position.
Fractional coordinates of all 6 atoms:
Ba  0.0000  0.0000  0.0000  6 Sb 3.59, 6 Cu 3.59
Cu  0.3333  0.6667  0.2500  3 Sb 2.67
Cu  0.6667  0.3333  0.7500  3 Sb 2.67
Sb  0.3333  0.6667  0.7500  3 Cu 2.67
Sb  0.6667  0.3333  0.2500  3 Cu 2.67
Ba  0.0000  0.0000  0.5000  6 Sb 3.59, 6 Cu 3.59

Values from the calculation:
**Calculated volume**: 178.1 Å³/cell
**Total energy**: -4.0763 eV per atom



Here is crystalline BaScCu3Se4 at its relaxed geometry from the Materials Project. Energies are from PBE.

Unit cell a=6.3010 b=6.3010 c=6.3010 alpha=90.00 beta=90.00 gamma=90.00
Closest atoms and distances in Å follow each position.
Fractional coordinates of all 9 atoms:
Sc  0.0000  0.0000  0.0000  4 Se 2.46
Se  0.2256  0.7744  0.7744  1 Sc 2.46, 3 Cu 2.65
Cu  0.0000  0.5000  0.0000  4 Se 2.65
Se  0.7744  0.7744  0.2256  1 Sc 2.46, 3 Cu 2.65
Cu  0.5000  0.0000  0.0000  4 Se 2.65
Se  0.2256  0.2256  0.2256  1 Sc 2.46, 3 Cu 2.65
Cu  0.0000  0.0000  0.5000  4 Se 2.65
Ba  0.5000  0.5000  0.5000  4 Se 2.99
Se  0.7744  0.2256  0.7744  1 Sc 2.46, 3 Cu 2.65

Values from the calculation:
**Calculated volume**: 250.2 Å³/cell
**M_tot**: 0.0 Bohr magnetons per cell
**Total energy**: -4.6569 eV per atom



Here is crystalline BaCu2Se2 at its relaxed geometry from the Materials Project. Energies are from PBE.

Unit cell a=4.0740 b=4.0740 c=7.1976 alpha=106.44 beta=106.44 gamma=90.00
Closest atoms and distances in Å follow each position.
Fractional coordinates of all 5 atoms:
Cu  0.7500  0.2500  0.5000  4 Se 2.52
Se  0.3629  0.3629  0.7257  4 Cu 2.52
Cu  0.2500  0.7500  0.5000  4 Se 2.52
Se  0.6371  0.6371  0.2743  4 Cu 2.52
Ba  0.0000  0.0000  0.0000  8 Se 3.40

Values from the calculation:
**Calculated volume**: 109.5 Å³/cell
**M_tot**: 0.0 Bohr magnetons per cell
**Total energy**: -4.2707 eV per atom



Here is crystalline BaCu2Se2 at its relaxed geometry from the Materials Project. Energies are from PBE.

Unit cell a=4.2296 b=9.6285 c=10.8684 alpha=90.00 beta=90.00 gamma=90.00
Closest atoms and distances in Å follow each position.
Fractional coordinates of all 20 atoms:
Cu  0.2500  0.0559  0.8882  4 Se 2.47-2.64
Ba  0.7500  0.2577  0.6771  7 Se 3.23-3.43, 3 Cu 3.43-3.62
Cu  0.2500  0.5559  0.6118  4 Se 2.47-2.64
Ba  0.2500  0.7423  0.3229  7 Se 3.23-3.43, 3 Cu 3.43-3.62
Se  0.2500  0.9778  0.6693  4 Cu 2.49-2.58
Cu  0.7500  0.4441  0.3882  4 Se 2.47-2.64
Se  0.2500  0.4778  0.8307  4 Cu 2.49-2.58
Se  0.7500  0.0222  0.3307  4 Cu 2.49-2.58
Se  0.7500  0.5222  0.1693  4 Cu 2.49-2.58
Ba  0.2500  0.2423  0.1771  7 Se 3.23-3.43, 3 Cu 3.43-3.62
Cu  0.7500  0.9218  0.5431  4 Se 2.50-2.58, 2 Cu 2.76
Cu  0.7500  0.9441  0.1118  4 Se 2.47-2.64
Se  0.7500  0.6589  0.5389  4 Cu 2.47-2.64
Ba  0.7500  0.7577  0.8229  7 Se 3.23-3.43, 3 Cu 3.43-3.62
Se  0.2500  0.8411  0.0389  4 Cu 2.47-2.64
Cu  0.2500  0.0782  0.4569  4 Se 2.50-2.58, 2 Cu 2.76
Se  0.2500  0.3411  0.4611  4 Cu 2.47-2.64
Cu  0.7500  0.4218  0.9569  4 Se 2.50-2.58, 2 Cu 2.76
Cu  0.2500  0.5782  0.0431  4 Se 2.50-2.58, 2 Cu 2.76
Se  0.7500  0.1589  0.9611  4 Cu 2.47-2.64

Values from the calculation:
**Calculated volume**: 442.6 Å³/cell
**Total energy**: -4.3035 eV per atom



Here is crystalline BaCu6Te6Se at its relaxed geometry from the Materials Project. Energies are from PBE.

Unit cell a=7.0003 b=6.9733 c=7.0697 alpha=88.82 beta=90.00 gamma=90.00
Closest atoms and distances in Å follow each position.
Fractional coordinates of all 14 atoms:
Te  0.2971  0.0000  0.5000  2 Cu 2.58, 1 Te 2.82
Te  0.4967  0.2967  0.0014  3 Cu 2.60-2.66, 1 Te 2.84
Cu  0.8001  0.7914  0.8008  1 Se 2.52, 3 Te 2.59-2.65, 3 Cu 2.78-2.81
Cu  0.2002  0.7999  0.7957  1 Se 2.42, 3 Te 2.58-2.65
Cu  0.2002  0.2001  0.2043  1 Se 2.42, 3 Te 2.58-2.65
Te  0.4967  0.7033  0.9986  3 Cu 2.60-2.66, 1 Te 2.84
Cu  0.8031  0.1943  0.8063  1 Se 2.40, 3 Te 2.59-2.68
Cu  0.8031  0.8057  0.1937  1 Se 2.40, 3 Te 2.59-2.68
Te  0.9972  0.5051  0.2986  3 Cu 2.59-2.65, 1 Te 2.85
Ba  0.4987  0.5000  0.5000  6 Cu 3.64-3.69, 12 Te 3.76-3.83
Te  0.9972  0.4949  0.7014  3 Cu 2.59-2.65, 1 Te 2.85
Te  0.6992  0.0000  0.5000  4 Cu 2.65-2.68, 1 Te 2.82
Cu  0.8001  0.2086  0.1992  1 Se 2.52, 3 Te 2.59-2.65, 3 Cu 2.78-2.81
Se  0.0115  0.0000  0.0000  6 Cu 2.40-2.52

Values from the calculation:
**Calculated volume**: 345.0 Å³/cell
**M_tot**: 0.0 Bohr magnetons per cell
**Total energy**: -3.7895 eV per atom